# LiBi12O20 | Materials Project | PBE | relaxed
data_LiBi12O20
_cell_length_a 10.1630
_cell_length_b 10.1630
_cell_length_c 10.1630
_cell_angle_alpha 90.00
_cell_angle_beta 90.00
_cell_angle_gamma 90.00
_symmetry_space_group_name_H-M 'I 2 3'
_symmetry_Int_Tables_number 197
_symmetry_space_group_name_Hall 'I 2 2 3'
loop_
_atom_site_label
_atom_site_fract_x
_atom_site_fract_y
_atom_site_fract_z
Li1 0.0000 0.0000 0.0000
Bi1 0.0041 0.1737 0.3130
O1 0.0098 0.3705 0.7483
O2 0.1193 0.1193 0.8807
O3 0.1890 0.1890 0.1890
# **Energy**: -5.60 eV/atom
# **Density**: 9.0 Mg/m³
# **Total magnetization**: 2.8 μB/f.u.

---

# HfZnN2 | Materials Project | PBE | relaxed
data_HfZnN2
_cell_length_a 3.2652
_cell_length_b 3.2652
_cell_length_c 5.3215
_cell_angle_alpha 90.00
_cell_angle_beta 90.00
_cell_angle_gamma 120.00
_symmetry_space_group_name_H-M 'P 3 m 1'
_symmetry_Int_Tables_number 156
loop_
_symmetry_equiv_pos_as_xyz
'x,y,z'
'-y,x-y,z'
'-x+y,-x,z'
'-y,-x,z'
'-x+y,y,z'
'x,x-y,z'
loop_
_atom_site_label
_atom_site_fract_x
_atom_site_fract_y
_atom_site_fract_z
Hf1 0.0000 0.0000 0.0000
Zn1 0.3333 0.6667 0.5509
N1 0.3333 0.6667 0.1841
N2 0.6667 0.3333 0.7481
# **Energy**: -7.96 eV/atom
# **Largest piezoelectric modulus**: 2.9 C/m2
# **Density**: 9.2 Mg/m³

---

# ZnCl2 | Materials Project | PBE | relaxed
data_ZnCl2
_cell_length_a 6.7879
_cell_length_b 11.7867
_cell_length_c 14.0458
_cell_angle_alpha 90.00
_cell_angle_beta 116.47
_cell_angle_gamma 90.00
_symmetry_space_group_name_H-M 'P 1 21/c 1'
_symmetry_Int_Tables_number 14
loop_
_symmetry_equiv_pos_as_xyz
'x,y,z'
'-x,-y,-z'
'-x,y+1/2,-z+1/2'
'x,-y+1/2,z+1/2'
loop_
_atom_site_label
_atom_site_fract_x
_atom_site_fract_y
_atom_site_fract_z
Zn1 0.1330 0.0046 0.3063
Zn2 0.2561 0.6843 0.4242
Zn3 0.3538 0.6607 0.1830
Cl1 0.0224 0.1527 0.3786
Cl2 0.0321 0.6589 0.8648
Cl3 0.0516 0.5188 0.3754
Cl4 0.4237 0.6797 0.6081
Cl5 0.4778 0.1768 0.1345
Cl6 0.4919 0.5038 0.1350
# **Energy**: -2.80 eV/atom
# **Density**: 2.7 Mg/m³

---

# Ho2ZnRh | Materials Project | PBE | relaxed
data_Ho2ZnRh
_cell_length_a 6.9482
_cell_length_b 6.9482
_cell_length_c 6.9482
_cell_angle_alpha 90.00
_cell_angle_beta 90.00
_cell_angle_gamma 90.00
_symmetry_space_group_name_H-M 'F m -3 m'
_symmetry_Int_Tables_number 225
_symmetry_space_group_name_Hall '-F 4 2 3'
loop_
_atom_site_label
_atom_site_fract_x
_atom_site_fract_y
_atom_site_fract_z
Ho1 0.2500 0.2500 0.2500
Zn1 0.0000 0.0000 0.0000
Rh1 0.0000 0.0000 0.5000
# **Energy**: -5.07 eV/atom
# **Density**: 9.9 Mg/m³

---

# SrMgPt | Materials Project | PBE | relaxed
data_SrMgPt
_cell_length_a 7.6224
_cell_length_b 4.4680
_cell_length_c 8.6406
_cell_angle_alpha 90.00
_cell_angle_beta 90.00
_cell_angle_gamma 90.00
_symmetry_space_group_name_H-M 'P n m a'
_symmetry_Int_Tables_number 62
loop_
_symmetry_equiv_pos_as_xyz
'x,y,z'
'-x,-y,-z'
'-x+1/2,-y,z+1/2'
'x+1/2,y,-z+1/2'
'x+1/2,-y+1/2,-z+1/2'
'-x+1/2,y+1/2,z+1/2'
'-x,y+1/2,-z'
'x,-y+1/2,z'
loop_
_atom_site_label
_atom_site_fract_x
_atom_site_fract_y
_atom_site_fract_z
Sr1 0.0267 0.2500 0.1778
Mg1 0.1384 0.2500 0.5630
Pt1 0.2199 0.7500 0.3825
# **Energy**: -3.88 eV/atom
# **Density**: 6.9 Mg/m³

---

# Os3C8SO8 | Materials Project | PBE | relaxed
data_Os3C8SO8
_cell_length_a 10.2355
_cell_length_b 12.7583
_cell_length_c 21.5802
_cell_angle_alpha 90.00
_cell_angle_beta 91.51
_cell_angle_gamma 90.00
_symmetry_space_group_name_H-M 'P 1 21/c 1'
_symmetry_Int_Tables_number 14
loop_
_symmetry_equiv_pos_as_xyz
'x,y,z'
'-x,-y,-z'
'-x,y+1/2,-z+1/2'
'x,-y+1/2,z+1/2'
loop_
_atom_site_label
_atom_site_fract_x
_atom_site_fract_y
_atom_site_fract_z
Os1 0.0327 0.1517 0.1075
Os2 0.1877 0.2161 0.6907
Os3 0.1943 0.1932 0.5554
Os4 0.2619 0.0684 0.1735
Os5 0.4129 0.2361 0.1179
Os6 0.4413 0.1868 0.4942
C1 0.0343 0.2266 0.7384
C2 0.0442 0.5334 0.3536
C3 0.0483 0.6205 0.4704
C4 0.0698 0.0835 0.5632
C5 0.1043 0.7471 0.3758
C6 0.1410 0.2076 0.4702
C7 0.1712 0.0409 0.2478
C8 0.1891 0.0660 0.6915
C9 0.2650 0.5759 0.6487
C10 0.2935 0.2266 0.7635
C11 0.3774 0.6621 0.0129
C12 0.3910 0.1035 0.4250
C13 0.4293 0.0565 0.2116
C14 0.4417 0.6586 0.4121
C15 0.4482 0.1845 0.9476
C16 0.4774 0.7172 0.8156
S1 0.2493 0.1201 0.0642
S2 0.3807 0.0915 0.5796
O1 0.0080 0.5179 0.9312
O2 0.0545 0.7332 0.7292
O3 0.0973 0.6039 0.5186
O4 0.0981 0.0369 0.8314
O5 0.1020 0.2210 0.4196
O6 0.1165 0.0245 0.2932
O7 0.1893 0.5249 0.1938
O8 0.1892 0.6936 0.8696
O9 0.2659 0.6464 0.0172
O10 0.2671 0.6631 0.6335
O11 0.3522 0.6089 0.4271
O12 0.3552 0.2315 0.8094
O13 0.3575 0.0521 0.3831
O14 0.4091 0.6878 0.7752
O15 0.4528 0.1046 0.9222
O16 0.4710 0.5434 0.2624
# **Energy**: -8.18 eV/atom
# **Density**: 3.9 Mg/m³
# **Energy above the most stable polymorph in this dataset**: 0.0 meV/atom
# **Total magnetization**: 0.0 μB/f.u.